Record 1
# Sr3CaS4

Crystalline Sr3CaS4 at its relaxed geometry (PBE, Materials Project).

Cell: 8.4617 11.9631 4.2304 Å, 90.00 90.00 90.00°
Space group Cmmm (No. 65)
Inequivalent atoms, fractional coordinates:
Sr 0.0000 0.0000 0.0000 x2
Sr 0.2500 0.2500 0.5000 x4
Ca 0.0000 0.5000 0.0000 x2
S 0.0000 0.2546 0.0000 x4
S 0.2408 0.5000 0.5000 x4

MP2020-corrected energy, eV/atom: -5.336
Total energy, eV/atom: -5.0840
Formation energy from the elements, kJ/mol of atoms: -230

***

Record 2
# CaTb2S4

Crystalline CaTb2S4 at its relaxed geometry (PBE, Materials Project).

Cell: 8.3960 8.3960 8.4124 Å, 90.00 90.00 90.00°
Space group I-42d (No. 122)
Inequivalent atoms, fractional coordinates:
Ca 0.0000 0.0000 0.0000 x4
Tb 0.1276 0.2500 0.6250 x8
S 0.0728 0.1778 0.3084 x16

MP2020-corrected energy, eV/atom: -6.334
Largest piezoelectric modulus, C/m2: 0.45
Total energy, eV/atom: -6.0467
Formation energy from the elements, kJ/mol of atoms: -228
Size of the total moment, μB per cell: 0.0

***

Record 3
# CaTi2S4

Crystalline CaTi2S4 at its relaxed geometry (PBE, Materials Project).

Cell: 10.5995 10.7843 7.3817 Å, 90.00 133.96 90.00°
Space group C2/c (No. 15)
Inequivalent atoms, fractional coordinates:
Ca 0.2500 0.2500 0.0000 x4
Ti 0.0000 0.0000 0.0000 x4
Ti 0.0000 0.3747 0.2500 x4
S 0.0002 0.2329 0.0182 x8
S 0.2316 0.0083 0.4818 x8

E above lowest polymorph, eV per atom: 0.182
MP2020-corrected energy, eV/atom: -6.583
Total energy, eV/atom: -6.2951
Formation energy from the elements, kJ/mol of atoms: -162
Size of the total moment, μB per cell: 8.0